Na15Ta5Zn7Si9S9O72 after structural relaxation. Source: Materials Project, functional PBE.

Output
The energy relative to the elements comes out at -233.11 kJ per mole of atoms. The calculation puts the total energy at -6.525 eV per atom. The calculated volume is 1585.50 Å³/cell.

a = 8.993 Å, b = 8.995 Å, c = 22.501 Å
α = 89.65°, β = 88.93°, γ = 60.60°
Space group P1 (No. 1)
Asymmetric unit:
Na 0.000 0.000 0.000
Na 0.001 0.301 0.569
Na 0.019 0.612 0.486
Na 0.301 0.338 0.992
Na 0.303 0.661 0.400
Na 0.337 0.004 0.165
Na 0.339 0.641 0.907
Na 0.348 0.270 0.659
Na 0.636 0.989 0.745
Na 0.654 0.983 0.239
Na 0.660 0.336 0.496
Na 0.675 0.274 0.160
Na 0.943 0.016 0.655
Na 0.945 0.680 0.165
Na 0.963 0.326 0.074
Ta 0.321 0.659 0.559
Ta 0.331 0.645 0.065
Ta 0.663 0.990 0.392
Ta 0.983 0.316 0.727
Ta 0.983 0.330 0.226
Zn 0.016 0.307 0.431
Zn 0.301 0.655 0.260
Zn 0.342 0.649 0.760
Zn 0.636 0.013 0.596
Zn 0.646 0.004 0.900
Zn 0.657 0.997 0.099
Zn 0.961 0.332 0.928
Si 0.027 0.946 0.164
Si 0.324 0.358 0.166
Si 0.330 0.940 0.667
Si 0.354 0.280 0.499
Si 0.607 0.365 0.666
Si 0.608 0.658 0.169
Si 0.653 0.284 0.996
Si 0.947 0.990 0.499
Si 0.990 0.613 0.335
S 0.029 0.651 0.665
S 0.272 0.323 0.831
S 0.281 0.028 0.330
S 0.359 0.982 0.996
S 0.646 0.704 0.497
S 0.693 0.322 0.333
S 0.694 0.617 0.831
S 0.950 0.691 0.996
S 0.987 0.022 0.831
O 0.008 0.106 0.884
O 0.016 0.137 0.172
O 0.024 0.484 0.671
O 0.105 0.680 0.717
O 0.107 0.825 0.219
O 0.125 0.683 0.000
O 0.134 0.808 0.504
O 0.137 0.855 0.823
O 0.139 0.353 0.172
O 0.143 0.616 0.610
O 0.146 0.141 0.674
O 0.150 0.642 0.328
O 0.153 0.860 0.103
O 0.158 0.327 0.495
O 0.171 0.336 0.885
O 0.172 0.312 0.777
O 0.175 0.106 0.383
O 0.187 0.137 0.990
O 0.195 0.138 0.276
O 0.278 0.489 0.106
O 0.282 0.853 0.608
O 0.285 0.479 0.825
O 0.308 0.856 0.324
O 0.326 0.845 0.725
O 0.330 0.828 0.001
O 0.351 0.473 0.504
O 0.371 0.437 0.220
O 0.428 0.182 0.560
O 0.434 0.004 0.050
O 0.437 0.164 0.829
O 0.451 0.025 0.335
O 0.466 0.950 0.942
O 0.470 0.165 0.156
O 0.472 0.480 0.004
O 0.477 0.441 0.720
O 0.482 0.692 0.502
O 0.485 0.696 0.224
O 0.486 0.975 0.659
O 0.489 0.178 0.442
O 0.516 0.489 0.605
O 0.520 0.613 0.109
O 0.525 0.466 0.326
O 0.525 0.630 0.826
O 0.596 0.211 0.940
O 0.621 0.812 0.443
O 0.647 0.809 0.153
O 0.655 0.168 0.660
O 0.673 0.780 0.550
O 0.683 0.154 0.335
O 0.685 0.174 0.056
O 0.687 0.784 0.831
O 0.774 0.516 0.884
O 0.777 0.333 0.386
O 0.786 0.529 0.490
O 0.797 0.474 0.173
O 0.801 0.354 0.675
O 0.803 0.806 0.338
O 0.806 0.292 0.278
O 0.807 0.517 0.777
O 0.826 0.017 0.831
O 0.827 0.298 0.990
O 0.836 0.977 0.157
O 0.840 0.008 0.559
O 0.846 0.955 0.441
O 0.851 0.762 0.051
O 0.859 0.792 0.656
O 0.870 0.797 0.943
O 0.952 0.164 0.488
O 0.963 0.511 0.275
O 0.970 0.141 0.776
O 0.988 0.510 0.990
O 0.993 0.512 0.394


NaTa3ZnSi3S3O24 after structural relaxation. Source: Materials Project, functional PBE.

Output
The energy relative to the elements comes out at -254.69 kJ per mole of atoms. The calculation puts the total energy at -7.471 eV per atom. The calculated volume is 1548.76 Å³/cell.

a = 8.837 Å, b = 8.841 Å, c = 22.846 Å
α = 89.71°, β = 89.95°, γ = 60.20°
Space group P1 (No. 1)
Asymmetric unit:
Na 0.000 0.000 0.000
Na 0.027 0.978 0.497
Na 0.687 0.653 0.149
Ta 0.007 0.991 0.348
Ta 0.019 0.998 0.847
Ta 0.349 0.332 0.465
Ta 0.354 0.321 0.681
Ta 0.361 0.310 0.968
Ta 0.366 0.319 0.179
Ta 0.675 0.654 0.513
Ta 0.683 0.662 0.307
Ta 0.686 0.663 0.807
Zn 0.046 0.965 0.637
Zn 0.704 0.635 0.011
Zn 0.985 0.000 0.135
Si 0.308 0.981 0.738
Si 0.344 0.614 0.575
Si 0.395 0.942 0.409
Si 0.649 0.330 0.072
Si 0.688 0.370 0.408
Si 0.693 0.933 0.913
Si 0.733 0.981 0.239
Si 0.965 0.658 0.410
Si 0.969 0.373 0.911
S 0.016 0.278 0.240
S 0.016 0.698 0.740
S 0.064 0.323 0.574
S 0.069 0.607 0.075
S 0.304 0.703 0.239
S 0.349 0.035 0.076
S 0.394 0.655 0.908
S 0.637 0.035 0.575
S 0.731 0.276 0.740
O 0.004 0.171 0.896
O 0.036 0.175 0.579
O 0.045 0.168 0.294
O 0.049 0.774 0.793
O 0.069 0.772 0.078
O 0.153 0.343 0.628
O 0.155 0.486 0.419
O 0.160 0.497 0.129
O 0.163 0.351 0.920
O 0.171 0.302 0.234
O 0.171 0.800 0.574
O 0.173 0.511 0.022
O 0.174 0.518 0.732
O 0.176 0.297 0.522
O 0.182 0.013 0.796
O 0.192 0.023 0.081
O 0.198 0.783 0.293
O 0.206 0.960 0.396
O 0.212 0.806 0.895
O 0.228 0.949 0.682
O 0.234 0.808 0.187
O 0.318 0.525 0.234
O 0.327 0.146 0.022
O 0.332 0.156 0.729
O 0.334 0.501 0.519
O 0.361 0.135 0.129
O 0.372 0.488 0.632
O 0.373 0.500 0.914
O 0.377 0.128 0.424
O 0.456 0.699 0.960
O 0.486 0.669 0.250
O 0.486 0.815 0.466
O 0.500 0.815 0.755
O 0.504 0.626 0.855
O 0.511 0.872 0.074
O 0.518 0.851 0.352
O 0.520 0.130 0.919
O 0.522 0.338 0.131
O 0.522 0.342 0.419
O 0.525 0.119 0.629
O 0.526 0.622 0.566
O 0.532 0.311 0.018
O 0.535 0.155 0.231
O 0.549 0.143 0.523
O 0.552 0.291 0.734
O 0.642 0.513 0.073
O 0.650 0.862 0.570
O 0.654 0.487 0.350
O 0.658 0.847 0.853
O 0.697 0.817 0.250
O 0.701 0.452 0.752
O 0.721 0.457 0.466
O 0.724 0.819 0.969
O 0.807 0.023 0.582
O 0.809 0.162 0.793
O 0.825 0.013 0.298
O 0.830 0.151 0.075
O 0.833 0.201 0.688
O 0.845 0.692 0.468
O 0.849 0.430 0.967
O 0.854 0.936 0.184
O 0.857 0.962 0.894
O 0.859 0.455 0.250
O 0.860 0.177 0.400
O 0.865 0.668 0.751
O 0.876 0.485 0.851
O 0.877 0.627 0.352
O 0.896 0.489 0.569
O 0.897 0.623 0.075
O 0.978 0.804 0.688
O 0.986 0.202 0.189
O 0.994 0.824 0.399


Na9TaZn5Si3S6O36 after structural relaxation. Source: Materials Project, functional PBE.

Output
The energy relative to the elements comes out at -214.52 kJ per mole of atoms. The calculation puts the total energy at -5.966 eV per atom. The calculated volume is 3182.52 Å³/cell.

a = 15.624 Å, b = 9.147 Å, c = 22.269 Å
α = 90.00°, β = 90.02°, γ = 90.00°
Space group Cc (No. 9)
Asymmetric unit:
Na 0.000 0.127 0.000
Na 0.004 0.167 0.669
Na 0.157 0.296 0.164
Na 0.163 0.011 0.081
Na 0.164 0.370 0.836
Na 0.306 0.196 0.001
Na 0.322 0.491 0.412
Na 0.325 0.144 0.675
Na 0.483 0.008 0.758
Ta 0.499 0.008 0.597
Zn 0.004 0.497 0.398
Zn 0.163 0.010 0.928
Zn 0.163 0.018 0.230
Zn 0.326 0.482 0.067
Zn 0.352 0.489 0.255
Si 0.151 0.353 0.990
Si 0.330 0.197 0.161
Si 0.474 0.356 0.658
S 0.000 0.211 0.494
S 0.015 0.148 0.829
S 0.163 0.298 0.330
S 0.180 0.355 0.662
S 0.313 0.151 0.830
S 0.351 0.144 0.493
O 0.004 0.306 0.550
O 0.008 0.311 0.829
O 0.056 0.095 0.885
O 0.068 0.112 0.775
O 0.070 0.075 0.168
O 0.080 0.124 0.493
O 0.084 0.392 0.331
O 0.084 0.402 0.048
O 0.091 0.423 0.652
O 0.105 0.410 0.929
O 0.152 0.171 0.994
O 0.157 0.217 0.271
O 0.164 0.196 0.669
O 0.169 0.199 0.382
O 0.211 0.427 0.717
O 0.234 0.379 0.610
O 0.239 0.398 0.329
O 0.245 0.425 0.998
O 0.253 0.078 0.170
O 0.261 0.114 0.885
O 0.268 0.069 0.494
O 0.271 0.092 0.775
O 0.304 0.286 0.101
O 0.316 0.314 0.828
O 0.345 0.303 0.500
O 0.359 0.302 0.216
O 0.397 0.079 0.550
O 0.400 0.086 0.835
O 0.404 0.109 0.441
O 0.407 0.351 0.714
O 0.419 0.095 0.150
O 0.424 0.387 0.998
O 0.429 0.422 0.327
O 0.434 0.425 0.597
O 0.486 0.194 0.942
O 0.492 0.171 0.650


- Look up the total energy of the first one.
  -6.525 eV per atom


- Among the records above, which one has the highest total energy?
  Na9TaZn5Si3S6O36


- The lowest calculated volume belongs to which entry?
  NaTa3ZnSi3S3O24


- What is the calculated volume in the first record?
  1585.50 Å³/cell